No. 1
The following is a r²SCAN calculation of a relaxed K2Te2As crystal, from the Materials Project.

a b c (Å): 8.347 9.116 20.170
angles (deg): 90.00 90.00 90.00
Atoms (fractional coordinates):
K  0.250  0.420  0.543
K  0.750  0.580  0.457
K  0.750  0.920  0.957
K  0.250  0.080  0.043
K  0.250  0.499  0.189
K  0.750  0.501  0.811
K  0.750  0.999  0.311
K  0.250  0.001  0.689
K  0.250  0.604  0.716
K  0.750  0.396  0.284
K  0.750  0.104  0.784
K  0.250  0.896  0.216
K  0.250  0.924  0.442
K  0.750  0.076  0.558
K  0.750  0.424  0.058
K  0.250  0.576  0.942
Te  0.998  0.239  0.418
Te  0.498  0.761  0.582
Te  0.002  0.739  0.082
Te  0.502  0.261  0.918
Te  0.002  0.761  0.582
Te  0.502  0.239  0.418
Te  0.998  0.261  0.918
Te  0.498  0.739  0.082
Te  0.991  0.182  0.179
Te  0.491  0.818  0.821
Te  0.009  0.682  0.321
Te  0.509  0.318  0.679
Te  0.009  0.818  0.821
Te  0.509  0.182  0.179
Te  0.991  0.318  0.679
Te  0.491  0.682  0.321
As  0.250  0.314  0.349
As  0.750  0.686  0.651
As  0.750  0.814  0.151
As  0.250  0.186  0.849
As  0.250  0.574  0.387
As  0.750  0.426  0.613
As  0.750  0.074  0.113
As  0.250  0.926  0.887

As for the space group: No. 62. The calculation puts the uncorrected energy at -16.35 eV per atom. For the energy of formation, the calculation gives -0.833 eV per atom.

No. 2
The following is a r²SCAN calculation of a relaxed LaAs2 crystal, from the Materials Project.

a b c (Å): 9.151 9.201 9.746
angles (deg): 118.14 117.97 90.05
Atoms (fractional coordinates):
La  0.673  0.750  0.081
La  0.092  0.669  0.919
La  0.892  0.273  0.917
La  0.475  0.356  0.083
La  0.436  0.115  0.443
La  0.492  0.671  0.557
La  0.014  0.297  0.395
La  0.118  0.902  0.605
As  0.871  0.874  0.745
As  0.626  0.129  0.255
As  0.746  0.998  0.949
As  0.297  0.048  0.050
As  0.461  0.732  0.255
As  0.706  0.477  0.745
As  0.505  0.070  0.762
As  0.243  0.307  0.238
As  0.742  0.948  0.504
As  0.738  0.444  0.496
As  0.299  0.662  0.744
As  0.055  0.919  0.256
As  0.116  0.289  0.754
As  0.861  0.536  0.246
As  0.358  0.403  0.747
As  0.111  0.656  0.253

As for the space group: No. 9. The calculation puts the uncorrected energy at -20.96 eV per atom. For the energy of formation, the calculation gives -1.243 eV per atom.

No. 3
The following is a r²SCAN calculation of a relaxed LaAs crystal, from the Materials Project.

a b c (Å): 4.383 4.383 4.383
angles (deg): 60.00 60.00 60.00
Atoms (fractional coordinates):
La  0.000  0.000  0.000
As  0.500  0.500  0.500

As for the space group: No. 225. The calculation puts the uncorrected energy at -24.07 eV per atom. For the energy of formation, the calculation gives -1.848 eV per atom.

No. 4
The following is a r²SCAN calculation of a relaxed LaAs2 crystal, from the Materials Project.

a b c (Å): 4.260 6.982 10.346
angles (deg): 90.00 96.58 90.00
Atoms (fractional coordinates):
La  0.728  0.814  0.640
La  0.772  0.314  0.860
La  0.272  0.186  0.360
La  0.228  0.686  0.140
As  0.203  0.150  0.670
As  0.297  0.650  0.830
As  0.797  0.850  0.330
As  0.703  0.350  0.170
As  0.667  0.877  0.951
As  0.833  0.377  0.549
As  0.333  0.123  0.049
As  0.167  0.623  0.451

As for the space group: No. 14. The calculation puts the uncorrected energy at -20.96 eV per atom. For the energy of formation, the calculation gives -1.243 eV per atom.

No. 5
The following is a r²SCAN calculation of a relaxed LaNi2As2 crystal, from the Materials Project.

a b c (Å): 4.249 4.249 9.422
angles (deg): 90.00 90.00 90.00
Atoms (fractional coordinates):
La  0.750  0.750  0.747
La  0.250  0.250  0.253
Ni  0.250  0.250  0.885
Ni  0.750  0.750  0.115
Ni  0.750  0.250  0.500
Ni  0.250  0.750  0.500
As  0.250  0.250  0.628
As  0.750  0.750  0.372
As  0.750  0.250  0.000
As  0.250  0.750  0.000

As for the space group: No. 129. The calculation puts the uncorrected energy at -17.55 eV per atom. For the energy of formation, the calculation gives -0.929 eV per atom.

No. 6
The following is a r²SCAN calculation of a relaxed LaAsO4 crystal, from the Materials Project.

a b c (Å): 7.229 6.787 8.441
angles (deg): 53.66 90.00 90.00
Atoms (fractional coordinates):
La  0.654  0.817  0.282
La  0.154  0.183  0.218
La  0.346  0.183  0.718
La  0.846  0.817  0.782
As  0.663  0.309  0.304
As  0.163  0.691  0.196
As  0.337  0.691  0.696
As  0.837  0.309  0.804
O  0.609  0.342  0.483
O  0.109  0.658  0.017
O  0.391  0.658  0.517
O  0.891  0.342  0.983
O  0.841  0.106  0.391
O  0.341  0.894  0.109
O  0.159  0.894  0.609
O  0.659  0.106  0.891
O  0.786  0.602  0.618
O  0.286  0.398  0.882
O  0.214  0.398  0.382
O  0.714  0.602  0.118
O  0.003  0.177  0.754
O  0.503  0.823  0.746
O  0.997  0.823  0.246
O  0.497  0.177  0.254

As for the space group: No. 14. The calculation puts the uncorrected energy at -14.02 eV per atom. For the energy of formation, the calculation gives -2.625 eV per atom.

No. 7
The following is a r²SCAN calculation of a relaxed LaAsO4 crystal, from the Materials Project.

a b c (Å): 6.969 6.969 6.969
angles (deg): 136.23 136.23 63.63
Atoms (fractional coordinates):
La  0.750  0.250  0.500
La  0.000  0.000  0.000
As  0.250  0.750  0.500
As  0.500  0.500  0.000
O  0.304  0.917  0.875
O  0.042  0.429  0.125
O  0.179  0.554  0.887
O  0.667  0.292  0.113
O  0.446  0.333  0.625
O  0.708  0.821  0.375
O  0.571  0.696  0.613
O  0.083  0.958  0.387

As for the space group: No. 88. The calculation puts the uncorrected energy at -14.01 eV per atom. For the energy of formation, the calculation gives -2.622 eV per atom.

No. 8
The following is a r²SCAN calculation of a relaxed LaAsO4 crystal, from the Materials Project.

a b c (Å): 6.178 6.178 6.178
angles (deg): 106.46 106.46 115.68
Atoms (fractional coordinates):
La  0.000  0.000  0.000
La  0.750  0.250  0.500
As  0.500  0.500  0.000
As  0.250  0.750  0.500
O  0.513  0.336  0.177
O  0.664  0.842  0.177
O  0.086  0.408  0.323
O  0.664  0.487  0.823
O  0.592  0.914  0.677
O  0.237  0.914  0.323
O  0.158  0.336  0.823
O  0.086  0.763  0.677

As for the space group: No. 141. The calculation puts the uncorrected energy at -14.00 eV per atom. For the energy of formation, the calculation gives -2.613 eV per atom.

No. 9
The following is a r²SCAN calculation of a relaxed LaAs12Os4 crystal, from the Materials Project.

a b c (Å): 7.426 7.426 7.426
angles (deg): 109.47 109.47 109.47
Atoms (fractional coordinates):
La  0.000  0.000  0.000
As  0.349  0.199  0.850
As  0.651  0.801  0.150
As  0.651  0.501  0.850
As  0.349  0.499  0.150
As  0.199  0.850  0.349
As  0.801  0.150  0.651
As  0.501  0.850  0.651
As  0.499  0.150  0.349
As  0.850  0.349  0.199
As  0.150  0.651  0.801
As  0.850  0.651  0.501
As  0.150  0.349  0.499
Os  0.000  0.000  0.500
Os  0.500  0.000  0.000
Os  0.000  0.500  0.000
Os  0.500  0.500  0.500

As for the space group: No. 204. The calculation puts the uncorrected energy at -25.06 eV per atom. For the energy of formation, the calculation gives -0.461 eV per atom.

No. 10
The following is a r²SCAN calculation of a relaxed LaAs2Pd2 crystal, from the Materials Project.

a b c (Å): 4.330 4.330 6.053
angles (deg): 110.96 110.96 90.00
Atoms (fractional coordinates):
La  0.000  0.000  0.000
As  0.380  0.380  0.759
As  0.620  0.620  0.241
Pd  0.750  0.250  0.500
Pd  0.250  0.750  0.500

As for the space group: No. 139. The calculation puts the uncorrected energy at -22.01 eV per atom. For the energy of formation, the calculation gives -0.993 eV per atom.

No. 11
The following is a r²SCAN calculation of a relaxed LaAs2Rh2 crystal, from the Materials Project.

a b c (Å): 4.347 4.347 9.869
angles (deg): 90.00 90.00 90.00
Atoms (fractional coordinates):
La  0.000  0.500  0.254
La  0.500  0.000  0.746
As  0.000  0.000  0.500
As  0.500  0.500  0.500
As  0.000  0.500  0.866
As  0.500  0.000  0.134
Rh  0.000  0.000  0.000
Rh  0.500  0.500  0.000
Rh  0.000  0.500  0.616
Rh  0.500  0.000  0.384

As for the space group: No. 129. The calculation puts the uncorrected energy at -22.56 eV per atom. For the energy of formation, the calculation gives -1.073 eV per atom.

No. 12
The following is a r²SCAN calculation of a relaxed LaAsRh crystal, from the Materials Project.

a b c (Å): 4.203 4.203 8.050
angles (deg): 105.13 105.13 90.00
Atoms (fractional coordinates):
La  0.331  0.831  0.662
La  0.581  0.581  0.162
As  0.750  0.250  0.500
As  0.000  0.000  0.000
Rh  0.165  0.165  0.330
Rh  0.915  0.415  0.830

As for the space group: No. 109. The calculation puts the uncorrected energy at -24.15 eV per atom. For the energy of formation, the calculation gives -1.291 eV per atom.